1.
A plane-wave DFT calculation with PBE-GGA was carried out for a relaxed structure of Ba3P2Se4O4.

Cell and atoms, written as extended XYZ:
```
26
Lattice="-2.5323 -1.3762 -6.2800 6.2285 -0.5346 -3.6509 0.7634 -12.8816 -0.2428" Properties=species:S:1:pos:R:3 pbc="T T T"
Ba 2.8949 -6.0885 -6.6534
Ba 1.5648 -8.7040 -3.5203
Ba 3.1606 -10.1114 -9.1306
Ba 1.2990 -4.6811 -1.0430
Ba 3.9009 -2.2283 -4.5473
Ba 0.5588 -12.5642 -5.6263
P 4.2655 -5.5282 -3.5140
P 0.1941 -9.2643 -6.6596
P 4.6323 -11.3943 -5.5886
P -0.1727 -3.3981 -4.5850
Se 3.7709 -12.7505 -7.1375
Se 0.6887 -2.0420 -3.0361
Se -0.0666 -5.5619 -4.0900
Se 4.5262 -9.2306 -6.0836
Se 0.9866 -3.0734 -6.4440
Se 3.4730 -11.7191 -3.7296
Se 3.9469 -3.2902 -8.4586
Se 0.5127 -11.5022 -1.7150
O 3.5587 -4.5176 -2.5595
O 0.9009 -10.2749 -7.6141
O 3.0596 -7.3892 -9.1173
O 1.4000 -7.4032 -1.0563
O 3.4036 -6.7575 -3.8926
O 1.0561 -8.0350 -6.2810
O 4.6323 -4.7573 -4.8323
O -0.1727 -10.0352 -5.3414
```



2.
A plane-wave DFT calculation with PBE-GGA was carried out for a relaxed structure of Ba2SmBiO6.

Cell and atoms, written as extended XYZ:
```
10
Lattice="0.0000 -4.4059 -4.4059 4.4059 0.0000 -4.4059 4.4059 -4.4059 0.0000" Properties=species:S:1:pos:R:3 pbc="T T T"
Ba 2.2030 -2.2030 -2.2030
Ba 6.6089 -6.6089 -6.6089
Sm 4.4059 -4.4059 -4.4059
Bi 0.0000 0.0000 0.0000
O 2.1274 -4.4059 -4.4059
O 6.6844 -4.4059 -4.4059
O 4.4059 -6.6844 -4.4059
O 4.4059 -2.1274 -4.4059
O 4.4059 -4.4059 -6.6844
O 4.4059 -4.4059 -2.1274
```



3.
A plane-wave DFT calculation with PBE-GGA was carried out for a relaxed structure of Na7Ca3NbSi3S3O24.

Cell and atoms, written as extended XYZ:
```
123
Lattice="9.4285 0.0015 -0.0327 -4.7132 8.1975 0.0431 -0.0859 0.0814 23.0612" Properties=species:S:1:pos:R:3 pbc="T T T"
Na 1.2723 8.1956 5.4667
Na 1.9135 2.8332 5.9638
Na 6.1399 5.4709 5.8208
Na 3.2827 5.3724 17.4268
Na 7.6169 2.7947 17.4327
Na 3.1736 0.1808 17.4233
Na 1.1464 2.7452 13.5748
Na -3.0150 5.8678 13.5982
Na 1.7376 7.9834 13.7874
Na -1.6202 7.9527 2.2040
Na 2.8449 5.9491 1.7885
Na -1.2740 2.6140 1.7928
Na 7.7924 2.6228 9.6484
Na 2.7217 0.3457 9.3610
Na 3.5876 5.4370 9.2656
Na -4.5606 8.2238 11.3638
Na 4.3160 8.1233 22.8271
Na 4.6316 2.8136 18.8746
Na 4.5211 2.8430 7.6334
Na 0.1480 5.7863 3.8775
Na -0.1363 5.5343 15.5327
Ca -4.7119 8.1933 8.0300
Ca 4.6215 8.1959 19.5614
Ca -4.7187 8.2125 15.5046
Ca 4.6531 8.0940 3.5445
Ca 4.6520 2.8085 15.7847
Ca 4.6640 2.7099 4.2325
Ca 4.6300 2.8427 11.0078
Ca 0.0619 5.5290 0.2801
Ca -0.0651 5.4536 11.8704
Nb 4.6622 2.7573 22.4758
Nb -0.0500 5.4635 7.3653
Nb 0.1113 5.4925 18.8014
Si -1.8144 8.1686 5.8193
Si 3.1578 5.7025 5.8115
Si 1.3824 2.5671 17.2592
Si -3.2255 5.7378 17.3176
Si 1.7644 8.2578 17.2741
Si 6.1068 0.3193 1.8994
Si 2.7801 5.5124 21.3175
Si 1.3496 3.0217 9.6928
Si -2.8667 5.4949 9.6956
S -1.4017 2.6053 5.8022
S 7.5243 2.7317 13.4036
S 3.2375 0.3093 13.3926
S 3.2659 5.3283 13.4237
S 6.0697 5.0924 1.8269
S 1.9418 2.7044 1.8455
S -1.5570 3.1050 21.2540
S -1.4335 8.0687 21.2303
S 1.3292 7.9017 9.6007
O 1.9395 0.2710 7.0402
O 3.7919 6.4103 7.1130
O 8.2459 1.7946 6.9704
O 1.1442 1.4752 18.3987
O 5.2340 6.5168 18.2985
O 7.5403 0.4855 18.3413
O 2.4729 7.7573 15.8901
O 0.6548 2.1870 15.8439
O -3.1092 6.5516 15.8885
O 3.2461 6.6291 4.4557
O -0.7951 1.9850 4.5962
O -2.6597 7.7934 4.4522
O 6.6433 2.7915 14.5892
O 3.6963 1.0410 14.5908
O 3.5967 4.5320 14.6249
O 5.7899 4.4047 3.1000
O 5.6294 1.0057 3.2718
O 2.6840 2.9209 3.1043
O 2.9218 2.6455 0.6970
O 5.5108 4.2763 0.6757
O 5.5257 1.3900 0.6353
O 3.6213 1.0464 12.1592
O 3.7348 4.6227 12.2024
O 6.7063 2.6797 12.1589
O 2.0014 5.5578 22.7130
O -1.1509 3.7335 22.5131
O -1.1557 7.3735 22.4848
O 1.1048 7.1575 10.8437
O 0.8877 3.6882 11.0816
O -2.0392 5.6746 11.0624
O -1.6749 5.4826 8.4084
O 0.8056 7.0937 8.4180
O 0.7960 4.0881 8.4226
O -1.2651 3.9561 20.0789
O -0.8228 7.3990 20.0608
O 1.6267 5.3307 20.0610
O -3.8680 6.7672 9.5615
O 2.7727 8.1436 9.4404
O 0.5847 1.5935 9.5413
O -1.0281 1.7470 21.1405
O 1.8542 0.1487 21.0558
O 3.7938 6.7224 21.1164
O 8.3823 1.5067 13.4315
O 1.7447 0.1614 13.3977
O 3.9340 6.6695 13.4612
O 5.4181 6.4307 1.7885
O 7.7412 0.2700 1.7121
O 1.1920 1.4146 1.8696
O 5.2936 1.1655 17.1503
O 2.9373 3.0320 17.2055
O 5.7483 4.1749 17.1930
O 3.8142 4.2078 5.7027
O 6.5808 2.8751 5.6214
O 3.9587 1.2120 5.7211
O 3.6959 4.0282 21.4074
O 6.2994 3.0051 21.2810
O 3.9906 1.2780 21.2705
O 5.3038 0.9930 9.5357
O 2.9671 2.9389 9.4430
O 5.8114 4.0502 9.4549
O 0.9622 3.8174 1.7223
O -1.8848 5.2258 1.7284
O 0.6582 7.0454 1.8723
O -0.8173 7.1512 13.4625
O 1.7739 5.5187 13.4125
O -1.0411 3.9646 13.4705
O -0.8690 6.7618 6.0658
O 1.4825 5.5123 6.0656
O -0.7181 3.9610 5.9398
O 0.5563 4.0529 17.6876
O -1.6008 5.7008 17.8892
O 0.8933 6.8104 17.7244
```



4.
A plane-wave DFT calculation with PBE-GGA was carried out for a relaxed structure of Cs2IrCl6.

Cell and atoms, written as extended XYZ:
```
9
Lattice="-6.2844 -1.6049 3.6431 -1.5219 3.3704 6.4549 -5.4712 5.0269 0.3720" Properties=species:S:1:pos:R:3 pbc="T T T"
Cs -3.3194 1.6981 2.6175
Cs -9.9581 5.0942 7.8525
Ir 0.0000 0.0000 0.0000
Cl -7.2847 2.4939 7.9257
Cl -9.4699 3.4104 4.5600
Cl -3.8076 3.3819 5.9100
Cl -5.9927 4.2984 2.5443
Cl -6.8348 6.1633 6.1158
Cl -6.4427 0.6291 4.3542
```



5.
A plane-wave DFT calculation with PBE-GGA was carried out for a relaxed structure of Sr2CaH8O6.

Cell and atoms, written as extended XYZ:
```
17
Lattice="-1.2080 2.2930 -2.8913 -1.5674 -6.4873 -3.6330 -8.1081 -0.7273 2.6545" Properties=species:S:1:pos:R:3 pbc="T T T"
Sr -7.9877 -3.3943 -3.9671
Sr -1.4161 -1.3324 -0.4026
Ca -4.6850 -2.2031 -2.4948
H -6.8668 -0.8048 0.9697
H -7.5612 0.5489 -0.7305
H -4.7926 -4.1808 -4.4540
H -4.0438 -5.4208 -2.6807
H -5.5550 0.1516 -0.3864
H -2.8793 -4.7621 -4.2704
H -6.9925 -2.7016 -1.1064
H -2.0259 -2.0755 -3.2608
O -7.1815 -1.5177 1.6146
O -5.4232 -3.3660 -4.5956
O -6.2012 0.5807 0.2273
O -3.7023 -5.3051 -4.3237
O -6.6461 -3.2432 -1.8431
O -2.5094 -1.4719 -2.6480
```



6.
A plane-wave DFT calculation with PBE-GGA was carried out for a relaxed structure of Cu2BO6.

Cell and atoms, written as extended XYZ:
```
36
Lattice="5.5047 -0.2767 -0.9710 0.1478 -7.6705 3.0239 -1.7004 -3.4459 -8.6579" Properties=species:S:1:pos:R:3 pbc="T T T"
Cu -1.1901 -7.0148 -4.7674
Cu 2.4571 -8.0888 0.1254
Cu 2.3965 -4.2402 -1.3533
Cu 4.2409 -3.4423 -7.2147
Cu 5.1423 -4.3782 -1.8376
Cu 1.4951 -3.3043 -6.7304
Cu 1.5557 -7.1529 -5.2517
Cu -0.2887 -7.9508 0.6097
B 0.5564 -4.3488 -3.6706
B 1.3834 -1.4212 0.1834
B 3.3957 -7.0442 -2.9344
B 2.5688 -9.9719 -6.7884
O -0.6789 -4.5022 -4.2121
O 2.3413 -1.8298 -0.6873
O 2.4406 -6.7807 -2.0065
O 3.8013 -9.6733 -6.3041
O 4.6310 -6.8908 -2.3929
O 1.6108 -9.5632 -5.9177
O 1.5116 -4.6123 -4.5985
O 0.1509 -1.7197 -0.3009
O -0.0062 -6.8500 -6.1475
O 0.7703 -1.3027 -3.3262
O 3.9584 -4.5430 -0.4575
O 3.1819 -10.0904 -3.2787
O 2.7567 -6.8354 -6.6168
O 3.5381 -1.5414 -3.6956
O 1.1954 -4.5577 0.0118
O 0.4141 -9.8517 -2.9094
O -0.0704 -4.2284 -7.2588
O 0.8081 -3.9778 -2.3494
O 4.0226 -7.1646 0.6538
O 3.1441 -7.4153 -4.2556
O 2.7164 -4.3769 -7.5462
O 3.5919 -3.9725 -2.6974
O 1.2358 -7.0162 0.9412
O 0.3602 -7.4205 -3.9076
```



| no. | calculated total energy (eV/atom) |
| --- | --- |
| 1 | -5.863 |
| 2 | -6.574 |
| 3 | -6.423 |
| 4 | -3.633 |
| 5 | -5.063 |
| 6 | -5.442 |